No. 1
A plane-wave DFT calculation with PBE+U was carried out for an optimized crystal structure of KCaEuFeO6.

Lattice parameters (Å, degrees): 8.233 8.233 8.233 90.00 90.00 90.00
Space group F-43m (No. 216)
Unique sites:
K (0.000, 0.000, 0.000) [4 per cell]
Ca (0.000, 0.000, 0.500) [4 per cell]
Eu (0.250, 0.250, 0.250) [4 per cell]
Fe (0.250, 0.250, 0.750) [4 per cell]
O (0.021, 0.250, 0.750) [24 per cell]

Computed properties:
Magnetization   32.02 μB/cell

---

No. 2
A plane-wave DFT calculation with PBE+U was carried out for an optimized crystal structure of CaEuHfWO6.

Lattice parameters (Å, degrees): 8.192 8.192 8.192 90.00 90.00 90.00
Space group F-43m (No. 216)
Unique sites:
Ca (0.000, 0.000, 0.000) [4 per cell]
Eu (0.000, 0.000, 0.500) [4 per cell]
Hf (0.250, 0.250, 0.750) [4 per cell]
W (0.250, 0.250, 0.250) [4 per cell]
O (0.000, 0.250, 0.250) [24 per cell]

Computed properties:
Magnetization   36.00 μB/cell

---

No. 3
A plane-wave DFT calculation with PBE+U was carried out for an optimized crystal structure of KCaEuWO6.

Lattice parameters (Å, degrees): 8.390 8.390 8.390 90.00 90.00 90.00
Space group F-43m (No. 216)
Unique sites:
K (0.000, 0.000, 0.000) [4 per cell]
Ca (0.250, 0.250, 0.750) [4 per cell]
Eu (0.000, 0.000, 0.500) [4 per cell]
W (0.250, 0.250, 0.250) [4 per cell]
O (0.018, 0.250, 0.250) [24 per cell]

Computed properties:
Magnetization   24.00 μB/cell
Distance to the lowest polymorph of the same formula   43 meV/atom

---

No. 4
A plane-wave DFT calculation with PBE+U was carried out for an optimized crystal structure of KCaEuWO6.

Lattice parameters (Å, degrees): 8.379 8.388 8.454 90.00 90.00 90.00
Space group Pnnn (No. 48, origin choice 2)
Unique sites:
K (0.250, 0.250, 0.250) [2 per cell]
K (0.250, 0.750, 0.250) [2 per cell]
Ca (0.250, 0.250, 0.750) [2 per cell]
Ca (0.250, 0.750, 0.750) [2 per cell]
Eu (0.000, 0.000, 0.000) [4 per cell]
W (0.000, 0.000, 0.500) [4 per cell]
O (0.024, 0.229, 0.466) [8 per cell]
O (0.049, 0.033, 0.729) [8 per cell]
O (0.229, 0.533, 0.023) [8 per cell]

Computed properties:
Magnetization   24.00 μB/cell
Distance to the lowest polymorph of the same formula   0 meV/atom

---

No. 5
A plane-wave DFT calculation with PBE+U was carried out for an optimized crystal structure of KCaEuWO6.

Lattice parameters (Å, degrees): 8.444 8.444 8.444 90.00 90.00 90.00
Space group F-43m (No. 216)
Unique sites:
K (0.000, 0.000, 0.000) [4 per cell]
Ca (0.000, 0.000, 0.500) [4 per cell]
Eu (0.250, 0.250, 0.750) [4 per cell]
W (0.250, 0.250, 0.250) [4 per cell]
O (0.019, 0.250, 0.250) [24 per cell]

Computed properties:
Magnetization   24.00 μB/cell
Distance to the lowest polymorph of the same formula   41 meV/atom

---

No. 6
A plane-wave DFT calculation with PBE+U was carried out for an optimized crystal structure of CaEuMn4O12.

Lattice parameters (Å, degrees): 5.654 5.654 8.034 90.00 90.00 90.00
Space group P4/mmm (No. 123)
Unique sites:
Ca (0.000, 0.000, 0.000) [1 per cell]
Eu (0.500, 0.500, 0.500) [1 per cell]
Mn (0.000, 0.500, 0.248) [4 per cell]
O (0.000, 0.500, 0.000) [2 per cell]
O (0.000, 0.500, 0.500) [2 per cell]
O (0.251, 0.251, 0.251) [8 per cell]

Computed properties:
Magnetization   2.02 μB/cell

---

No. 7
A plane-wave DFT calculation with PBE+U was carried out for an optimized crystal structure of CaEuMnWO6.

Lattice parameters (Å, degrees): 8.111 8.111 8.111 90.00 90.00 90.00
Space group F-43m (No. 216)
Unique sites:
Ca (0.000, 0.000, 0.000) [4 per cell]
Eu (0.000, 0.000, 0.500) [4 per cell]
Mn (0.250, 0.250, 0.250) [4 per cell]
W (0.250, 0.250, 0.750) [4 per cell]
O (0.010, 0.250, 0.750) [24 per cell]

Computed properties:
Magnetization   48.00 μB/cell

---

No. 8
A plane-wave DFT calculation with PBE+U was carried out for an optimized crystal structure of CaEuZrMnO6.

Lattice parameters (Å, degrees): 7.985 7.985 7.985 90.00 90.00 90.00
Space group F-43m (No. 216)
Unique sites:
Ca (0.000, 0.000, 0.000) [4 per cell]
Eu (0.000, 0.000, 0.500) [4 per cell]
Zr (0.250, 0.250, 0.250) [4 per cell]
Mn (0.250, 0.250, 0.750) [4 per cell]
O (0.009, 0.250, 0.750) [24 per cell]

Computed properties:
Magnetization   40.00 μB/cell

---

Record-wise final energy values, in eV/cell: -261.3, -347.0, -294.7, -296.4, -294.7, -123.7, -321.3, -336.6